VASP calculation (PBE with a Hubbard U) on an optimized crystal structure of LiMn2F6.

abc: 5.3059 5.3059 4.5125
angles: 90.77 90.77 116.10
Fractional coordinates of all 9 atoms:
Li: 0.0000 0.0000 0.0000
Mn: 0.3365 0.6635 0.5000
Mn: 0.6837 0.3163 0.5000
F: 0.0127 0.3309 0.2517
F: 0.0375 0.6682 0.7305
F: 0.3318 0.9625 0.2695
F: 0.3543 0.3716 0.7236
F: 0.6284 0.6457 0.2764
F: 0.6691 0.9873 0.7483

energy: -51.5 eV/cell
SG: No. 5
crystal system: monoclinic
energy above the lowest structure with this stoichiometry: 5.0 kJ/mol of atoms
size of the total moment: 9.00 μB/f.u.
largest piezoelectric modulus: 0.57 C/m2


VASP calculation (PBE with a Hubbard U) on an optimized crystal structure of LiMnF3.

abc: 6.7879 6.7879 5.5718
angles: 97.31 97.31 85.85
Fractional coordinates of all 20 atoms:
Li: 0.1051 0.2824 0.2942
Li: 0.2824 0.1051 0.7942
Li: 0.7176 0.8949 0.2058
Li: 0.8949 0.7176 0.7058
Mn: 0.2027 0.7973 0.2500
Mn: 0.4043 0.5957 0.7500
Mn: 0.5957 0.4043 0.2500
Mn: 0.7973 0.2027 0.7500
F: 0.0618 0.2131 0.6018
F: 0.1333 0.6393 0.8961
F: 0.2131 0.0618 0.1018
F: 0.3023 0.4820 0.3741
F: 0.3607 0.8667 0.6039
F: 0.4820 0.3023 0.8741
F: 0.5180 0.6977 0.1259
F: 0.6393 0.1333 0.3961
F: 0.6977 0.5180 0.6259
F: 0.7869 0.9382 0.8982
F: 0.8667 0.3607 0.1039
F: 0.9382 0.7869 0.3982

energy: -115.4 eV/cell
SG: No. 15
crystal system: monoclinic
energy above the lowest structure with this stoichiometry: 0.8 kJ/mol of atoms
size of the total moment: 5.00 μB/f.u.